Version one
The following is a DFT calculation (PBE) of a relaxed structure of Ba2LaCl7.

Lattice parameters (Å, degrees): 16.525 8.167 10.164 90.00 123.69 90.00
Space group C2/c (No. 15)
Unique sites:
1 Ba 0.189 0.003 0.286 x8
2 La 0.000 0.488 0.750 x4
3 Cl 0.000 0.124 0.750 x4
4 Cl 0.087 0.345 0.081 x8
5 Cl 0.132 0.251 0.469 x8
6 Cl 0.195 0.382 0.859 x8

Computed properties:
For the size of the total moment, the calculation gives 0.0000 μB/atom.

---

Version two
The following is a DFT calculation (PBE) of a relaxed structure of Ba2LaCl7.

Lattice parameters (Å, degrees): 7.573 14.059 12.238 90.00 92.87 90.00
Space group P2_1/c (No. 14)
Unique sites:
1 Ba 0.182 0.056 0.201 x4
2 Ba 0.292 0.133 0.716 x4
3 La 0.297 0.734 0.026 x4
4 Cl 0.015 0.118 0.904 x4
5 Cl 0.031 0.744 0.356 x4
6 Cl 0.148 0.573 0.143 x4
7 Cl 0.352 0.187 0.401 x4
8 Cl 0.357 0.574 0.889 x4
9 Cl 0.437 0.588 0.600 x4
10 Cl 0.498 0.689 0.356 x4

Computed properties:
For the size of the total moment, the calculation gives 0.0001 μB/atom.

---

The structures above, arranged from the most stable to the least stable: version one, version two.